1.
# V4Bi23O44 (PBE+U, relaxed)
data_V4Bi23O44
_chemical_formula_sum 'V4 Bi23 O44'
_cell_length_a 11.7431
_cell_length_b 11.7684
_cell_length_c 11.8567
_cell_angle_alpha 60.29
_cell_angle_beta 61.07
_cell_angle_gamma 89.32
_space_group_name_H-M_alt 'P 1'
_space_group_IT_number 1
loop_
_space_group_symop_operation_xyz
'x,y,z'
loop_
_atom_site_label
_atom_site_fract_x
_atom_site_fract_y
_atom_site_fract_z
V1 0.0000 0.0000 0.0000
V2 0.0369 0.0273 0.5195
V3 0.3473 0.6912 0.2863
V4 0.6537 0.3711 0.3057
Bi1 0.0000 0.6527 0.6538
Bi2 0.0010 0.3109 0.6560
Bi3 0.0093 0.3336 0.9636
Bi4 0.0105 0.9935 0.2996
Bi5 0.0139 0.6867 0.9633
Bi6 0.0198 0.3415 0.2841
Bi7 0.3204 0.0202 0.6368
Bi8 0.3224 0.3251 0.9704
Bi9 0.3479 0.0232 0.9355
Bi10 0.3492 0.0221 0.2827
Bi11 0.3557 0.6618 0.9571
Bi12 0.3633 0.3548 0.6237
Bi13 0.3636 0.6981 0.6224
Bi14 0.3847 0.3509 0.2600
Bi15 0.6636 0.0150 0.6449
Bi16 0.6658 0.6558 0.3198
Bi17 0.6733 0.0046 0.3045
Bi18 0.6770 0.6407 0.9836
Bi19 0.6793 0.7027 0.6252
Bi20 0.6811 0.3335 0.9483
Bi21 0.6842 0.9906 0.9783
Bi22 0.6956 0.3544 0.6260
Bi23 0.9946 0.6585 0.3104
O1 0.0150 0.1884 0.8770
O2 0.0200 0.5498 0.1629
O3 0.0245 0.5575 0.8711
O4 0.0718 0.2569 0.1394
O5 0.1785 0.1563 0.4342
O6 0.2012 0.0451 0.8584
O7 0.2032 0.5195 0.4880
O8 0.2255 0.3939 0.8235
O9 0.2364 0.4289 0.1423
O10 0.2407 0.7754 0.8091
O11 0.2686 0.0848 0.1232
O12 0.2890 0.7315 0.1682
O13 0.3023 0.7922 0.3631
O14 0.3257 0.4959 0.3880
O15 0.4280 0.2508 0.7922
O16 0.4306 0.6045 0.7867
O17 0.4342 0.9546 0.4631
O18 0.4452 0.2556 0.1289
O19 0.4490 0.5693 0.5251
O20 0.4564 0.0095 0.7116
O21 0.4607 0.2484 0.4430
O22 0.4836 0.5548 0.0351
O23 0.5279 0.7437 0.1703
O24 0.5595 0.0526 0.1262
O25 0.5772 0.0275 0.8513
O26 0.5925 0.7846 0.4664
O27 0.5955 0.4164 0.4601
O28 0.5976 0.7981 0.7714
O29 0.6230 0.4141 0.1401
O30 0.6239 0.4206 0.7841
O31 0.7527 0.5706 0.1593
O32 0.7683 0.5874 0.4524
O33 0.7699 0.2820 0.3133
O34 0.7753 0.9470 0.4421
O35 0.7770 0.2197 0.8123
O36 0.7812 0.5943 0.8039
O37 0.7887 0.9582 0.1288
O38 0.8650 0.9987 0.6983
O39 0.8944 0.8874 0.8064
O40 0.9357 0.4222 0.4863
O41 0.9474 0.4371 0.7441
O42 0.9537 0.7523 0.4561
O43 0.9685 0.8092 0.1154
O44 0.9942 0.8468 0.7010
# - DFT formation energy (eV/atom) = -1.50
# - energy above the lowest structure with this stoichiometry (eV/f.u.) = 5.558

=====

2.
# Li2V5O10 (PBE+U, relaxed)
data_Li2V5O10
_chemical_formula_sum 'Li4 V10 O20'
_cell_length_a 6.4000
_cell_length_b 8.1276
_cell_length_c 8.2304
_cell_angle_alpha 76.70
_cell_angle_beta 68.32
_cell_angle_gamma 89.35
_space_group_name_H-M_alt 'P 1'
_space_group_IT_number 1
loop_
_space_group_symop_operation_xyz
'x,y,z'
loop_
_atom_site_label
_atom_site_fract_x
_atom_site_fract_y
_atom_site_fract_z
Li1 0.0000 0.0000 0.0000
Li2 0.1411 0.2330 0.2057
Li3 0.4931 0.5081 0.0066
Li4 0.6404 0.7447 0.2099
V1 0.0549 0.5882 0.2922
V2 0.0735 0.1235 0.6010
V3 0.0897 0.6533 0.9208
V4 0.1998 0.7887 0.5021
V5 0.4472 0.9492 0.7081
V6 0.5444 0.0880 0.2919
V7 0.5623 0.6205 0.6079
V8 0.5817 0.1555 0.9201
V9 0.6958 0.2935 0.4962
V10 0.9371 0.4524 0.7136
O1 0.0163 0.3587 0.4720
O2 0.1194 0.8850 0.7368
O3 0.1436 0.4797 0.1022
O4 0.2043 0.0287 0.3823
O5 0.2264 0.5667 0.6700
O6 0.3037 0.6841 0.2885
O7 0.3356 0.0583 0.9254
O8 0.4063 0.1733 0.5445
O9 0.4296 0.7096 0.8300
O10 0.4895 0.2625 0.1113
O11 0.5310 0.8558 0.4690
O12 0.6166 0.3857 0.7373
O13 0.6576 0.9883 0.0955
O14 0.6861 0.5121 0.3892
O15 0.7364 0.0815 0.6655
O16 0.7952 0.1878 0.2974
O17 0.8376 0.5575 0.9139
O18 0.9006 0.6599 0.5433
O19 0.9481 0.2318 0.8190
O20 0.9816 0.7556 0.1154
# - DFT formation energy (eV/atom) = -2.45
# - energy above the lowest structure with this stoichiometry (eV/f.u.) = 0.025

=====

3.
# FeOF (PBE+U, relaxed)
data_FeOF
_chemical_formula_sum 'Fe18 O18 F18'
_cell_length_a 14.3431
_cell_length_b 3.1148
_cell_length_c 14.3894
_cell_angle_alpha 90.00
_cell_angle_beta 90.10
_cell_angle_gamma 90.00
_space_group_name_H-M_alt 'P 1 m 1'
_space_group_IT_number 6
loop_
_space_group_symop_operation_xyz
'x,y,z'
'x,-y,z'
loop_
_atom_site_label
_atom_site_fract_x
_atom_site_fract_y
_atom_site_fract_z
Fe1 0.0000 0.0000 0.0000
Fe2 0.0009 0.0000 0.3357
Fe3 0.1395 0.5000 0.1679
Fe4 0.1488 0.5000 0.4963
Fe5 0.1495 0.5000 0.8444
Fe6 0.3179 0.0000 0.9844
Fe7 0.3339 0.0000 0.6684
Fe8 0.3370 0.0000 0.3317
Fe9 0.4741 0.5000 0.5024
Fe10 0.4742 0.5000 0.8350
Fe11 0.4858 0.5000 0.1754
Fe12 0.6520 0.0000 0.3185
Fe13 0.6676 0.0000 0.6683
Fe14 0.6703 0.0000 0.9966
Fe15 0.8076 0.5000 0.1678
Fe16 0.8146 0.5000 0.8283
Fe17 0.8174 0.5000 0.5119
Fe18 0.9689 0.0000 0.6683
O1 0.0499 0.5000 0.3994
O2 0.0531 0.5000 0.0620
O3 0.0853 0.0000 0.8928
O4 0.0889 0.0000 0.2305
O5 0.2547 0.5000 0.9328
O6 0.3841 0.5000 0.7311
O7 0.3874 0.5000 0.3955
O8 0.4211 0.0000 0.5634
O9 0.4219 0.0000 0.2244
O10 0.4250 0.0000 0.8990
O11 0.5894 0.5000 0.2663
O12 0.7160 0.5000 0.7300
O13 0.7201 0.5000 0.0605
O14 0.7540 0.0000 0.5612
O15 0.7582 0.0000 0.2314
O16 0.7586 0.0000 0.8951
O17 0.8813 0.0000 0.7717
O18 0.9232 0.5000 0.6010
F1 0.0517 0.5000 0.7293
F2 0.0902 0.0000 0.5712
F3 0.2158 0.0000 0.7624
F4 0.2209 0.0000 0.4329
F5 0.2220 0.0000 0.1030
F6 0.2530 0.5000 0.5990
F7 0.2553 0.5000 0.2681
F8 0.3853 0.5000 0.0622
F9 0.5515 0.0000 0.0947
F10 0.5509 0.0000 0.7667
F11 0.5553 0.0000 0.4367
F12 0.5869 0.5000 0.6007
F13 0.5914 0.5000 0.9300
F14 0.7185 0.5000 0.3965
F15 0.8824 0.0000 0.4302
F16 0.8861 0.0000 0.1007
F17 0.9218 0.5000 0.9377
F18 0.9230 0.5000 0.2660
# - DFT formation energy (eV/atom) = -2.03

=====

4.
# Mg3Mn2Ge3O12 (PBE+U, relaxed)
data_Mg3Mn2Ge3O12
_chemical_formula_sum 'Mg24 Mn16 Ge24 O96'
_cell_length_a 12.0950
_cell_length_b 12.0950
_cell_length_c 12.0950
_cell_angle_alpha 90.00
_cell_angle_beta 90.00
_cell_angle_gamma 90.00
_space_group_name_H-M_alt 'I a -3 d'
_space_group_IT_number 230
_space_group_name_Hall '-I 4bd 2c 3'
loop_
_atom_site_label
_atom_site_fract_x
_atom_site_fract_y
_atom_site_fract_z
Mg1 0.0000 0.2500 0.1250
Mn1 0.0000 0.0000 0.0000
Ge1 0.0000 0.2500 0.3750
O1 0.0271 0.0565 0.6558
# - DFT formation energy (eV/atom) = -2.32